Compound: DyCu4Pd
Source: the Materials Project
Functional: r2SCAN
Structure: relaxed

The value obtained for the calculated density is 10.17 g/cm³. The calculated formation energy comes out at -373.6 meV/atom.

It has space group F-43m (No. 216), with a = 6.990 Å, b = 6.990 Å, c = 6.990 Å, α = 90.00°, β = 90.00° and γ = 90.00°. The distinct sites, in fractional coordinates, are Dy at (0.000, 0.000, 0.000), Cu at (0.124, 0.124, 0.624) and Pd at (0.250, 0.250, 0.250).